[1]
Density functional theory data (PBE) for an optimized crystal structure of Li2Cu3P4O14.

Cell lengths 5.298, 6.260, 16.441 Å; angles 92.91, 95.88, 108.49 degrees
Space group P-1 (No. 2)
Symmetry-distinct sites (fractional):
Li  0.027  0.225  0.379 [2 per cell]
Li  0.463  0.734  0.515 [2 per cell]
Cu  0.081  0.530  0.833 [2 per cell]
Cu  0.267  0.221  0.086 [2 per cell]
Cu  0.375  0.868  0.324 [2 per cell]
P  0.103  0.257  0.570 [2 per cell]
P  0.189  0.070  0.817 [2 per cell]
P  0.347  0.731  0.047 [2 per cell]
P  0.499  0.407  0.300 [2 per cell]
O  0.010  0.831  0.836 [2 per cell]
O  0.011  0.214  0.794 [2 per cell]
O  0.188  0.516  0.086 [2 per cell]
O  0.203  0.362  0.492 [2 per cell]
O  0.204  0.810  0.430 [2 per cell]
O  0.207  0.907  0.051 [2 per cell]
O  0.214  0.069  0.591 [2 per cell]
O  0.221  0.471  0.641 [2 per cell]
O  0.303  0.542  0.304 [2 per cell]
O  0.357  0.184  0.904 [2 per cell]
O  0.370  0.040  0.756 [2 per cell]
O  0.371  0.186  0.341 [2 per cell]
O  0.396  0.667  0.959 [2 per cell]
O  0.421  0.624  0.785 [2 per cell]

Output
electronic total energy = -0.4731 Ry per atom
magnetic moment = 6.003 Bohr magnetons per cell
formation enthalpy at 0 K = -2.20 eV per atom

=====

[2]
Density functional theory data (PBE) for an optimized crystal structure of Li2InSi.

Cell lengths 6.651, 6.651, 6.651 Å; angles 90.00, 90.00, 90.00 degrees
Space group F-43m (No. 216)
Symmetry-distinct sites (fractional):
Li  0.000  0.000  0.000 [4 per cell]
Li  0.250  0.250  0.250 [4 per cell]
In  0.000  0.000  0.500 [4 per cell]
Si  0.250  0.250  0.750 [4 per cell]

Output
electronic total energy = -0.2244 Ry per atom
magnetic moment = 0.058 Bohr magnetons per cell
formation enthalpy at 0 K = -0.04 eV per atom

=====

[3]
Density functional theory data (PBE) for an optimized crystal structure of K2AlHgBr6.

Cell lengths 11.045, 11.045, 11.045 Å; angles 90.00, 90.00, 90.00 degrees
Space group Fm-3m (No. 225)
Symmetry-distinct sites (fractional):
K  0.250  0.250  0.250 [8 per cell]
Al  0.000  0.000  0.000 [4 per cell]
Hg  0.000  0.000  0.500 [4 per cell]
Br  0.000  0.000  0.230 [24 per cell]

Output
electronic total energy = -0.2013 Ry per atom
magnetic moment = 0.016 Bohr magnetons per cell
formation enthalpy at 0 K = -1.45 eV per atom

=====

[4]
Density functional theory data (PBE) for an optimized crystal structure of Mg2Si.

Cell lengths 5.161, 6.593, 7.721 Å; angles 108.19, 100.87, 97.97 degrees
Space group P-1 (No. 2)
Symmetry-distinct sites (fractional):
Mg  0.117  0.398  0.334 [2 per cell]
Mg  0.209  0.935  0.403 [2 per cell]
Mg  0.259  0.079  0.952 [2 per cell]
Mg  0.381  0.396  0.752 [2 per cell]
Si  0.152  0.675  0.052 [2 per cell]
Si  0.418  0.768  0.671 [2 per cell]

Output
electronic total energy = -0.2098 Ry per atom
magnetic moment = 0.001 Bohr magnetons per cell
formation enthalpy at 0 K = 0.04 eV per atom

=====

[5]
Density functional theory data (PBE) for an optimized crystal structure of Ti2MnRh.

Cell lengths 6.084, 6.084, 6.084 Å; angles 90.00, 90.00, 90.00 degrees
Space group Fm-3m (No. 225)
Symmetry-distinct sites (fractional):
Ti  0.250  0.250  0.250 [8 per cell]
Mn  0.000  0.000  0.000 [4 per cell]
Rh  0.000  0.000  0.500 [4 per cell]

Output
electronic total energy = -0.6359 Ry per atom
formation enthalpy at 0 K = -0.57 eV per atom

=====

[6]
Density functional theory data (PBE) for an optimized crystal structure of Na2NbAsO6.

Cell lengths 14.838, 10.987, 7.429 Å; angles 90.00, 108.43, 90.00 degrees
Space group C2/c (No. 15)
Symmetry-distinct sites (fractional):
Na  0.000  0.005  0.250 [4 per cell]
Na  0.000  0.454  0.250 [4 per cell]
Na  0.141  0.211  0.060 [8 per cell]
Nb  0.211  0.498  0.616 [8 per cell]
As  0.129  0.188  0.547 [8 per cell]
O  0.017  0.144  0.528 [8 per cell]
O  0.100  0.420  0.062 [8 per cell]
O  0.134  0.343  0.504 [8 per cell]
O  0.160  0.116  0.369 [8 per cell]
O  0.203  0.156  0.776 [8 per cell]
O  0.238  0.449  0.875 [8 per cell]

Output
electronic total energy = -0.4915 Ry per atom
magnetic moment = 0.002 Bohr magnetons per cell
formation enthalpy at 0 K = -2.39 eV per atom

=====

[7]
Density functional theory data (PBE) for an optimized crystal structure of Bi2TeI.

Cell lengths 4.4368, 4.4368, 57.3982 Å; angles 90.00, 90.00, 120.00 degrees
Space group R-3m (No. 166, hexagonal axes)
Symmetry-distinct sites (fractional):
Bi  0.0000  0.0000  0.0591 [6 per cell]
Bi  0.0000  0.0000  0.1808 [6 per cell]
Te  0.0000  0.0000  0.3050 [6 per cell]
I  0.0000  0.0000  0.4275 [6 per cell]

Output
electronic total energy = -0.2463 Ry per atom
magnetic moment = 0.001 Bohr magnetons per cell
formation enthalpy at 0 K = -0.33 eV per atom

=====

[8]
Density functional theory data (PBE) for an optimized crystal structure of K6BiH3Cl8F4.

Cell lengths 9.2272, 9.2272, 14.7252 Å; angles 90.00, 90.00, 120.00 degrees
Space group P6_3mc (No. 186)
Symmetry-distinct sites (fractional):
K  0.0049  0.5024  0.0000 [6 per cell]
K  0.1788  0.3575  0.2541 [6 per cell]
Bi  0.0000  0.0000  0.0062 [2 per cell]
H  0.1594  0.5797  0.7527 [6 per cell]
Cl  0.1394  0.2788  0.6132 [6 per cell]
Cl  0.1406  0.2812  0.8989 [6 per cell]
Cl  0.3333  0.6667  0.1100 [2 per cell]
Cl  0.3333  0.6667  0.3975 [2 per cell]
F  0.0336  0.5168  0.7455 [6 per cell]
F  0.3333  0.6667  0.7637 [2 per cell]

Output
electronic total energy = -0.2772 Ry per atom
magnetic moment = 0.000 Bohr magnetons per cell
formation enthalpy at 0 K = -1.89 eV per atom

=====

Repeat the sixth record exactly.
Density functional theory data (PBE) for an optimized crystal structure of Na2NbAsO6.

Cell lengths 14.838, 10.987, 7.429 Å; angles 90.00, 108.43, 90.00 degrees
Space group C2/c (No. 15)
Symmetry-distinct sites (fractional):
Na  0.000  0.005  0.250 [4 per cell]
Na  0.000  0.454  0.250 [4 per cell]
Na  0.141  0.211  0.060 [8 per cell]
Nb  0.211  0.498  0.616 [8 per cell]
As  0.129  0.188  0.547 [8 per cell]
O  0.017  0.144  0.528 [8 per cell]
O  0.100  0.420  0.062 [8 per cell]
O  0.134  0.343  0.504 [8 per cell]
O  0.160  0.116  0.369 [8 per cell]
O  0.203  0.156  0.776 [8 per cell]
O  0.238  0.449  0.875 [8 per cell]

Output
electronic total energy = -0.4915 Ry per atom
magnetic moment = 0.002 Bohr magnetons per cell
formation enthalpy at 0 K = -2.39 eV per atom

=====

Repeat the eighth record exactly.
Density functional theory data (PBE) for an optimized crystal structure of K6BiH3Cl8F4.

Cell lengths 9.2272, 9.2272, 14.7252 Å; angles 90.00, 90.00, 120.00 degrees
Space group P6_3mc (No. 186)
Symmetry-distinct sites (fractional):
K  0.0049  0.5024  0.0000 [6 per cell]
K  0.1788  0.3575  0.2541 [6 per cell]
Bi  0.0000  0.0000  0.0062 [2 per cell]
H  0.1594  0.5797  0.7527 [6 per cell]
Cl  0.1394  0.2788  0.6132 [6 per cell]
Cl  0.1406  0.2812  0.8989 [6 per cell]
Cl  0.3333  0.6667  0.1100 [2 per cell]
Cl  0.3333  0.6667  0.3975 [2 per cell]
F  0.0336  0.5168  0.7455 [6 per cell]
F  0.3333  0.6667  0.7637 [2 per cell]

Output
electronic total energy = -0.2772 Ry per atom
magnetic moment = 0.000 Bohr magnetons per cell
formation enthalpy at 0 K = -1.89 eV per atom

=====

Repeat the seventh record exactly.
Density functional theory data (PBE) for an optimized crystal structure of Bi2TeI.

Cell lengths 4.4368, 4.4368, 57.3982 Å; angles 90.00, 90.00, 120.00 degrees
Space group R-3m (No. 166, hexagonal axes)
Symmetry-distinct sites (fractional):
Bi  0.0000  0.0000  0.0591 [6 per cell]
Bi  0.0000  0.0000  0.1808 [6 per cell]
Te  0.0000  0.0000  0.3050 [6 per cell]
I  0.0000  0.0000  0.4275 [6 per cell]

Output
electronic total energy = -0.2463 Ry per atom
magnetic moment = 0.001 Bohr magnetons per cell
formation enthalpy at 0 K = -0.33 eV per atom